DFT (r²SCAN) results for a geometry-optimized La3Co4Sn13 structure.

Properties
ΔE_f: -6.54 eV/f.u.
Calculated total energy: -23.520 eV/atom

Structure (CIF):
```
data_La3Co4Sn13
_chemical_formula_sum 'La6 Co8 Sn26'
_cell_length_a 9.6423
_cell_length_b 9.6423
_cell_length_c 9.6423
_cell_angle_alpha 90.00
_cell_angle_beta 90.00
_cell_angle_gamma 90.00
_space_group_name_H-M_alt 'P m -3 n'
_space_group_IT_number 223
_space_group_name_Hall '-P 4n 2 3'
loop_
_atom_site_label
_atom_site_type_symbol
_atom_site_fract_x
_atom_site_fract_y
_atom_site_fract_z
La1 La 0.0000 0.2500 0.5000
Co1 Co 0.2500 0.2500 0.2500
Sn1 Sn 0.0000 0.0000 0.0000
Sn2 Sn 0.0000 0.3011 0.1579
```

DFT (r²SCAN) results for a geometry-optimized LaYCo10 structure.

Properties
ΔE_f: -0.41 eV/f.u.
Calculated total energy: -15.235 eV/atom

Structure (CIF):
```
data_LaYCo10
_chemical_formula_sum 'La1 Y1 Co10'
_cell_length_a 3.8652
_cell_length_b 4.9436
_cell_length_c 8.9599
_cell_angle_alpha 90.00
_cell_angle_beta 90.00
_cell_angle_gamma 90.00
_space_group_name_H-M_alt 'P m m m'
_space_group_IT_number 47
loop_
_space_group_symop_operation_xyz
'x,y,z'
'-x,-y,-z'
'-x,-y,z'
'x,y,-z'
'x,-y,-z'
'-x,y,z'
'-x,y,-z'
'x,-y,z'
loop_
_atom_site_label
_atom_site_type_symbol
_atom_site_fract_x
_atom_site_fract_y
_atom_site_fract_z
La1 La 0.0000 0.0000 0.0000
Y1 Y 0.0000 0.5000 0.5000
Co1 Co 0.0000 0.0000 0.3448
Co2 Co 0.0000 0.5000 0.1731
Co3 Co 0.5000 0.0000 0.5000
Co4 Co 0.5000 0.2567 0.2596
Co5 Co 0.5000 0.5000 0.0000
```

DFT (r²SCAN) results for a geometry-optimized LiLu2Co structure.

Properties
ΔE_f: -0.28 eV/f.u.
Calculated total energy: -23.016 eV/atom

Structure (CIF):
```
data_LiLu2Co
_chemical_formula_sum 'Li4 Lu8 Co4'
_cell_length_a 6.6627
_cell_length_b 6.6627
_cell_length_c 6.6627
_cell_angle_alpha 90.00
_cell_angle_beta 90.00
_cell_angle_gamma 90.00
_space_group_name_H-M_alt 'F m -3 m'
_space_group_IT_number 225
_space_group_name_Hall '-F 4 2 3'
loop_
_atom_site_label
_atom_site_type_symbol
_atom_site_fract_x
_atom_site_fract_y
_atom_site_fract_z
Li1 Li 0.0000 0.0000 0.0000
Lu1 Lu 0.2500 0.2500 0.2500
Co1 Co 0.0000 0.0000 0.5000
```

DFT (r²SCAN) results for a geometry-optimized Li2MnCoO4 structure.

Properties
ΔE_f: -15.76 eV/f.u.
Calculated total energy: -9.042 eV/atom

Structure (CIF):
```
data_Li2MnCoO4
_chemical_formula_sum 'Li8 Mn4 Co4 O16'
_cell_length_a 10.3023
_cell_length_b 5.5910
_cell_length_c 5.1127
_cell_angle_alpha 90.00
_cell_angle_beta 112.71
_cell_angle_gamma 90.00
_space_group_name_H-M_alt 'C 1 2/c 1'
_space_group_IT_number 15
loop_
_space_group_symop_operation_xyz
'x,y,z'
'-x,-y,-z'
'-x,y,-z+1/2'
'x,-y,z+1/2'
'x+1/2,y+1/2,z'
'-x+1/2,-y+1/2,-z'
'-x+1/2,y+1/2,-z+1/2'
'x+1/2,-y+1/2,z+1/2'
loop_
_atom_site_label
_atom_site_type_symbol
_atom_site_fract_x
_atom_site_fract_y
_atom_site_fract_z
Li1 Li 0.2477 0.1250 0.2658
Mn1 Mn 0.0000 0.1266 0.7500
Co1 Co 0.0000 0.3740 0.2500
O1 O 0.1074 0.3773 0.0040
O2 O 0.1182 0.1243 0.4779
```

ΔE_f of number 4 (Li2MnCoO4)? -15.76 eV/f.u.

Look up the ΔE_f of the second one. -0.41 eV/f.u.

Look up the calculated total energy of the third one. -23.016 eV/atom

The highest calculated total energy belongs to which entry? Li2MnCoO4